No. 1
Below is a relaxed structure of Mn17Nb31N48, with properties calculated at the PBE level.

abc: 5.337 5.337 40.370
angles: 90.00 90.00 120.00
Sites, in units of the cell vectors:
Mn  0.000  0.000  0.000
Mn  0.000  0.000  0.125
Mn  0.000  0.000  0.249
Mn  0.000  0.000  0.374
Mn  0.000  0.000  0.500
Mn  0.000  0.000  0.626
Mn  0.000  0.000  0.751
Mn  0.000  0.000  0.875
Mn  0.333  0.667  0.125
Mn  0.333  0.667  0.249
Mn  0.333  0.667  0.500
Mn  0.333  0.667  0.751
Mn  0.333  0.667  0.875
Mn  0.667  0.333  0.126
Mn  0.667  0.333  0.374
Mn  0.667  0.333  0.626
Mn  0.667  0.333  0.874
Nb  0.000  0.331  0.437
Nb  0.000  0.331  0.688
Nb  0.000  0.331  0.936
Nb  0.000  0.669  0.064
Nb  0.000  0.669  0.312
Nb  0.000  0.669  0.563
Nb  0.003  0.333  0.186
Nb  0.003  0.670  0.814
Nb  0.330  0.333  0.814
Nb  0.330  0.997  0.186
Nb  0.331  0.000  0.437
Nb  0.331  0.000  0.688
Nb  0.331  0.000  0.936
Nb  0.331  0.331  0.064
Nb  0.331  0.331  0.312
Nb  0.331  0.331  0.563
Nb  0.333  0.667  0.000
Nb  0.333  0.667  0.374
Nb  0.333  0.667  0.626
Nb  0.667  0.333  0.000
Nb  0.667  0.333  0.249
Nb  0.667  0.333  0.500
Nb  0.667  0.333  0.751
Nb  0.667  0.670  0.186
Nb  0.667  0.997  0.814
Nb  0.669  0.000  0.064
Nb  0.669  0.000  0.312
Nb  0.669  0.000  0.563
Nb  0.669  0.669  0.437
Nb  0.669  0.669  0.688
Nb  0.669  0.669  0.936
N  0.001  0.329  0.031
N  0.001  0.672  0.969
N  0.002  0.336  0.280
N  0.002  0.336  0.530
N  0.002  0.666  0.470
N  0.002  0.666  0.720
N  0.328  0.329  0.969
N  0.328  0.999  0.031
N  0.332  0.001  0.781
N  0.332  0.332  0.219
N  0.334  0.336  0.470
N  0.334  0.336  0.720
N  0.334  0.998  0.280
N  0.334  0.998  0.530
N  0.335  0.003  0.596
N  0.335  0.332  0.404
N  0.336  0.004  0.345
N  0.336  0.332  0.655
N  0.339  0.001  0.096
N  0.339  0.338  0.904
N  0.340  0.001  0.846
N  0.340  0.340  0.154
N  0.660  0.001  0.154
N  0.660  0.660  0.846
N  0.662  0.001  0.904
N  0.662  0.661  0.096
N  0.664  0.666  0.280
N  0.664  0.666  0.530
N  0.664  0.998  0.470
N  0.664  0.998  0.720
N  0.668  0.001  0.219
N  0.668  0.003  0.404
N  0.668  0.004  0.655
N  0.668  0.664  0.345
N  0.668  0.665  0.596
N  0.668  0.668  0.781
N  0.671  0.672  0.031
N  0.671  0.999  0.969
N  0.996  0.332  0.345
N  0.996  0.664  0.655
N  0.997  0.332  0.596
N  0.997  0.665  0.404
N  0.999  0.332  0.781
N  0.999  0.338  0.096
N  0.999  0.340  0.846
N  0.999  0.660  0.154
N  0.999  0.661  0.904
N  0.999  0.668  0.219

Calculated values
- Energy relative to the elements: -0.862 eV per atom
- Total moment: 74.41 μB per cell
- Total energy: -9.7345 eV/atom
- Mass density: 7.482 g/cm3
- E (MP2020): -9.915 eV/atom


No. 2
Below is a relaxed structure of YSn3, with properties calculated at the PBE level.

abc: 4.728 4.728 4.728
angles: 90.00 90.00 90.00
Sites, in units of the cell vectors:
Y  0.000  0.000  0.000
Sn  0.000  0.500  0.500
Sn  0.500  0.000  0.500
Sn  0.500  0.500  0.000

Calculated values
- Energy relative to the elements: -0.434 eV per atom
- Total energy: -5.0576 eV/atom
- Mass density: 6.994 g/cm3


Question: Look up the mass density of the second one.
Answer: 6.994 g/cm3